No. 1
Computed, not measured: crystalline AcSi3 at its relaxed geometry at the PBE level of DFT.

Summary:
- energy (eV per atom) = -5.44
- calculated density (kg/m3) = 6045

a = 6.5249 Å, b = 6.5249 Å, c = 4.6379 Å
α = 90.00°, β = 90.00°, γ = 120.00°
With the nearest neighbours (Å) after each atom.
Space group P6_3/mmc (No. 194)
Inequivalent atoms, fractional coordinates:
Ac 0.3333 0.6667 0.2500 x2  12 Si 3.28-3.29
Si 0.1281 0.2562 0.7500 x6  6 Si 2.51-2.73

---

No. 2
Computed, not measured: crystalline Li3BiS3 at its relaxed geometry at the PBE level of DFT.

Summary:
- E above lowest polymorph (meV per atom) = 41
- calculated density (kg/m3) = 3676

a = 4.0115 Å, b = 12.4291 Å, c = 12.1746 Å
α = 90.00°, β = 103.97°, γ = 90.00°
With the nearest neighbours (Å) after each atom.
Space group P2_1/c (No. 14)
Inequivalent atoms, fractional coordinates:
Li 0.0114 0.2192 0.0260 x4  4 S 2.44-2.51
Li 0.2751 0.0302 0.3949 x4  4 S 2.47-2.61
Li 0.3792 0.5419 0.3809 x4  4 S 2.41-2.58
Bi 0.3835 0.7069 0.7510 x4  3 S 2.61-2.65
S 0.2011 0.0938 0.5916 x4  4 Li 2.49-2.61, 1 Bi 2.62
S 0.2040 0.1237 0.2119 x4  4 Li 2.45-2.55, 1 Bi 2.65
S 0.4316 0.1464 0.9308 x4  4 Li 2.41-2.58, 1 Bi 2.61

---

No. 3
Computed, not measured: crystalline VSiNi at its relaxed geometry at the PBE level of DFT.

Summary:
- energy (eV per atom) = -7.35
- calculated density (kg/m3) = 6245

a = 5.9749 Å, b = 3.5416 Å, c = 6.9222 Å
α = 90.00°, β = 90.00°, γ = 90.00°
With the nearest neighbours (Å) after each atom.
Space group Pnma (No. 62)
Inequivalent atoms, fractional coordinates:
V 0.0267 0.2500 0.1668 x4  5 Si 2.51-2.57, 5 Ni 2.74-2.79
Si 0.2307 0.7500 0.3708 x4  4 Ni 2.26-2.30, 3 V 2.51-2.52
Ni 0.1467 0.2500 0.5606 x4  4 Si 2.26-2.30

---

No. 4
Computed, not measured: crystalline AsBrOF8 at its relaxed geometry at the PBE level of DFT.

Summary:
- energy (eV per atom) = -3.85
- calculated density (kg/m3) = 3067

a = 8.8601 Å, b = 8.8800 Å, c = 8.8865 Å
α = 90.00°, β = 90.40°, γ = 90.00°
With the nearest neighbours (Å) after each atom.
Space group P2_1 (No. 4)
Inequivalent atoms, fractional coordinates:
As 0.1140 0.0000 0.1360 x2  6 F 1.75-1.82
As 0.3853 0.2299 0.6345 x2  6 F 1.74-1.83
Br 0.0296 0.5613 0.2958 x2  1 O 1.58
Br 0.4541 0.6446 0.8038 x2  1 O 1.58
O 0.0346 0.9121 0.6308 x2  1 Br 1.58
O 0.3812 0.5803 0.9529 x2  1 Br 1.58
F 0.0826 0.4870 0.8614 x2  1 As 1.75
F 0.1097 0.9873 0.9312 x2  1 As 1.82
F 0.1108 0.1963 0.1212 x2  1 As 1.75
F 0.1239 0.6490 0.4496 x2  1 Br 1.78
F 0.1293 0.0052 0.3319 x2  1 As 1.75
F 0.1306 0.7998 0.1377 x2  1 As 1.78
F 0.1794 0.2260 0.6218 x2  1 As 1.83
F 0.2048 0.5007 0.2200 x2  1 Br 1.78
F 0.3000 0.7384 0.7154 x2  1 Br 1.78
F 0.3191 0.0062 0.1207 x2  1 As 1.82
F 0.3700 0.4347 0.6409 x2  1 As 1.82
F 0.3714 0.2265 0.8310 x2  1 As 1.75
F 0.3865 0.2458 0.4344 x2  1 As 1.78
F 0.3884 0.0338 0.6220 x2  1 As 1.74
F 0.4184 0.7444 0.3591 x2  1 As 1.74
F 0.4694 0.3199 0.1357 x2  1 Br 1.78

---

No. 5
Computed, not measured: crystalline Ba3ErRu2O9 at its relaxed geometry at the PBE level of DFT.

Summary:
- energy (eV per atom) = -7.13
- calculated density (kg/m3) = 6915

a = 5.9415 Å, b = 5.9415 Å, c = 14.5369 Å
α = 90.00°, β = 90.00°, γ = 120.00°
With the nearest neighbours (Å) after each atom.
Space group P6_3/mmc (No. 194)
Inequivalent atoms, fractional coordinates:
Ba 0.0000 0.0000 0.2500 x2  12 O 2.97
Ba 0.3333 0.6667 0.0935 x4  12 O 2.91-3.09
Er 0.0000 0.0000 0.0000 x2  6 O 2.21
Ru 0.3333 0.6667 0.6640 x4  6 O 1.97-2.04
O 0.0192 0.5096 0.7500 x6  2 Ru 2.04
O 0.1754 0.3508 0.5874 x12  1 Ru 1.97

---

No. 6
Computed, not measured: crystalline TiCoP at its relaxed geometry at the PBE level of DFT.

Summary:
- energy (eV per atom) = -7.95
- calculated density (kg/m3) = 6243

a = 6.0380 Å, b = 3.5482 Å, c = 6.8422 Å
α = 90.00°, β = 90.00°, γ = 90.00°
With the nearest neighbours (Å) after each atom.
Space group Pnma (No. 62)
Inequivalent atoms, fractional coordinates:
Ti 0.0245 0.2500 0.1777 x4  5 P 2.53-2.57, 5 Co 2.71-2.81
Co 0.1403 0.2500 0.5615 x4  4 P 2.25-2.29
P 0.2323 0.7500 0.3775 x4  4 Co 2.25-2.29

---

No. 7
Computed, not measured: crystalline ReB4 at its relaxed geometry at the PBE level of DFT.

Summary:
- energy (eV per atom) = -7.27
- calculated density (kg/m3) = 9563

a = 5.4543 Å, b = 5.4543 Å, c = 6.1858 Å
α = 90.00°, β = 90.00°, γ = 120.00°
With the nearest neighbours (Å) after each atom.
Space group P6_3/mmc (No. 194)
Inequivalent atoms, fractional coordinates:
Re 0.0000 0.0000 0.2500 x2  12 B 2.40
Re 0.3333 0.6667 0.2500 x2  14 B 2.25-2.38
B 0.0000 0.3376 0.0000 x12  5 B 1.77-1.94
B 0.3333 0.6667 0.6132 x4  1 B 1.69

---

No. 8
Computed, not measured: crystalline Tb3Si2Ni at its relaxed geometry at the PBE level of DFT.

Summary:
- energy (eV per atom) = -5.82
- calculated density (kg/m3) = 7445

a = 11.3332 Å, b = 4.1406 Å, c = 11.2479 Å
α = 90.00°, β = 90.00°, γ = 90.00°
With the nearest neighbours (Å) after each atom.
Space group Pnma (No. 62)
Inequivalent atoms, fractional coordinates:
Tb 0.0577 0.2500 0.1247 x4  1 Ni 2.84, 4 Si 2.98-3.00
Tb 0.1185 0.7500 0.5601 x4  3 Ni 2.92-3.00, 5 Si 2.96-3.03
Tb 0.2139 0.2500 0.8026 x4  2 Ni 2.83, 4 Si 2.95-3.02
Si 0.0260 0.7500 0.3145 x4  2 Ni 2.45
Si 0.1967 0.7500 0.9949 x4  1 Ni 2.45
Ni 0.1288 0.2500 0.3669 x4  3 Si 2.45

---

No. 9
Computed, not measured: crystalline GaNi2Pt at its relaxed geometry at the PBE level of DFT.

Summary:
- energy (eV per atom) = -5.54
- calculated density (kg/m3) = 12334

a = 3.7125 Å, b = 3.7125 Å, c = 3.7332 Å
α = 90.00°, β = 90.00°, γ = 90.00°
With the nearest neighbours (Å) after each atom.
Space group P4/mmm (No. 123)
Inequivalent atoms, fractional coordinates:
Ga 0.0000 0.0000 0.0000 x1  4 Pt 2.63, 8 Ni 2.63
Ni 0.0000 0.5000 0.5000 x2  4 Ni 2.63, 4 Pt 2.63, 4 Ga 2.63
Pt 0.5000 0.5000 0.0000 x1  4 Ga 2.63, 8 Ni 2.63

---

No. 10
Computed, not measured: crystalline CaTbEuSbO6 at its relaxed geometry at the PBE level of DFT.

Summary:
- energy (eV per atom) = -7.61
- calculated density (kg/m3) = 6431

a = 8.3749 Å, b = 8.3749 Å, c = 8.3749 Å
α = 90.00°, β = 90.00°, γ = 90.00°
With the nearest neighbours (Å) after each atom.
Space group F-43m (No. 216)
Inequivalent atoms, fractional coordinates:
Ca 0.0000 0.0000 0.0000 x4  12 O 2.96
Tb 0.2500 0.2500 0.7500 x4  6 O 2.20
Eu 0.0000 0.0000 0.5000 x4  12 O 2.96
Sb 0.2500 0.2500 0.2500 x4  6 O 1.98
O 0.0130 0.2500 0.2500 x24  1 Sb 1.98, 1 Tb 2.20

---

No. 11
Computed, not measured: crystalline La3Ge3Br2 at its relaxed geometry at the PBE level of DFT.

Summary:
- energy (eV per atom) = -5.25
- calculated density (kg/m3) = 5832

a = 18.8751 Å, b = 4.3855 Å, c = 11.0415 Å
α = 90.00°, β = 98.16°, γ = 90.00°
With the nearest neighbours (Å) after each atom.
Space group C2/m (No. 12)
Inequivalent atoms, fractional coordinates:
La 0.0304 0.0000 0.3310 x4  1 Br 3.18, 8 Ge 3.22-3.31
La 0.1122 0.0000 0.9883 x4  6 Ge 3.16-3.44, 3 Br 3.21-3.40
La 0.1776 0.0000 0.6468 x4  4 Br 3.04-3.20, 4 Ge 3.11-3.19
Ge 0.0233 0.5000 0.1158 x4  2 Ge 2.58-2.62
Ge 0.0681 0.5000 0.5443 x4  2 Ge 2.58-2.62
Ge 0.0931 0.5000 0.7802 x4  2 Ge 2.58-2.62
Br 0.2004 0.0000 0.3701 x4  4 La 3.15-3.20
Br 0.2247 0.5000 0.1088 x4  4 La 3.04-3.40

---

No. 12
Computed, not measured: crystalline Sn2Ir at its relaxed geometry at the PBE level of DFT.

Summary:
- energy (eV per atom) = -5.92
- calculated density (kg/m3) = 10686

a = 6.4397 Å, b = 6.4397 Å, c = 6.4397 Å
α = 90.00°, β = 90.00°, γ = 90.00°
With the nearest neighbours (Å) after each atom.
Space group Fm-3m (No. 225)
Inequivalent atoms, fractional coordinates:
Sn 0.2500 0.2500 0.2500 x8  4 Ir 2.79
Ir 0.0000 0.0000 0.0000 x4  8 Sn 2.79

---

No. 13
Computed, not measured: crystalline Tm4CdSe7 at its relaxed geometry at the PBE level of DFT.

Summary:
- energy (eV per atom) = -5.19
- calculated density (kg/m3) = 7321

a = 13.1975 Å, b = 3.9512 Å, c = 12.0646 Å
α = 90.00°, β = 104.79°, γ = 90.00°
With the nearest neighbours (Å) after each atom.
Space group Cm (No. 8)
Inequivalent atoms, fractional coordinates:
Tm 0.0000 0.0000 0.0000 x2  7 Se 2.82-3.15
Tm 0.0793 0.5000 0.3744 x2  6 Se 2.74-2.88
Tm 0.1945 0.5000 0.8042 x2  6 Se 2.76-2.84
Tm 0.3885 0.0000 0.6073 x2  7 Se 2.81-3.08
Cd 0.3105 0.5000 0.2235 x2  6 Se 2.77-2.90
Se 0.0344 0.0000 0.7515 x2  5 Tm 2.84-3.15
Se 0.1557 0.5000 0.0188 x2  3 Tm 2.76-2.82, 1 Cd 2.77
Se 0.1937 0.0000 0.3053 x2  2 Tm 2.74, 2 Cd 2.83
Se 0.2332 0.5000 0.5877 x2  4 Tm 2.79-2.84
Se 0.3544 0.0000 0.8509 x2  5 Tm 2.84-3.08
Se 0.4383 0.0000 0.1534 x2  3 Tm 2.83-2.96, 2 Cd 2.86
Se 0.4529 0.5000 0.4501 x2  4 Tm 2.88-3.01, 1 Cd 2.90

---

No. 14
Computed, not measured: crystalline Zr3Ta at its relaxed geometry at the PBE level of DFT.

Summary:
- E above lowest polymorph (meV per atom) = 11
- calculated density (kg/m3) = 8544

a = 4.4539 Å, b = 4.4539 Å, c = 4.4539 Å
α = 90.00°, β = 90.00°, γ = 90.00°
With the nearest neighbours (Å) after each atom.
Space group Pm-3m (No. 221)
Inequivalent atoms, fractional coordinates:
Zr 0.0000 0.0000 0.5000 x3  8 Zr 3.15, 4 Ta 3.15
Ta 0.5000 0.5000 0.5000 x1  12 Zr 3.15

---

No. 15
Computed, not measured: crystalline EuMgSi at its relaxed geometry at the PBE level of DFT.

Summary:
- energy (eV per atom) = -6.22
- calculated density (kg/m3) = 4715

a = 7.5632 Å, b = 4.5192 Å, c = 8.4234 Å
α = 90.00°, β = 90.00°, γ = 90.00°
With the nearest neighbours (Å) after each atom.
Space group Pnma (No. 62)
Inequivalent atoms, fractional coordinates:
Eu 0.0181 0.2500 0.1858 x4  5 Si 3.17-3.23, 6 Mg 3.33-3.53
Mg 0.1497 0.2500 0.5654 x4  4 Si 2.77-2.88
Si 0.2247 0.7500 0.3884 x4  4 Mg 2.77-2.88

---

No. 16
Computed, not measured: crystalline ScFe2 at its relaxed geometry at the PBE level of DFT.

Summary:
- energy (eV per atom) = -8.02
- calculated density (kg/m3) = 6143

a = 4.9306 Å, b = 4.9306 Å, c = 16.0890 Å
α = 90.00°, β = 90.00°, γ = 120.00°
With the nearest neighbours (Å) after each atom.
Space group P6_3/mmc (No. 194)
Inequivalent atoms, fractional coordinates:
Sc 0.0000 0.0000 0.0939 x4  12 Fe 2.88-2.89, 4 Sc 3.02
Sc 0.3333 0.6667 0.1561 x4  12 Fe 2.89, 4 Sc 3.02
Fe 0.0000 0.5000 0.0000 x6  6 Fe 2.46-2.47
Fe 0.1658 0.3315 0.7500 x6  6 Fe 2.45-2.48
Fe 0.3333 0.6667 0.6244 x4  6 Fe 2.46-2.48

---

No. 17
Computed, not measured: crystalline CrW2N3 at its relaxed geometry at the PBE level of DFT.

Summary:
- energy (eV per atom) = -10.01
- calculated density (kg/m3) = 12940

a = 2.8087 Å, b = 3.7003 Å, c = 11.4011 Å
α = 90.00°, β = 90.00°, γ = 90.00°
With the nearest neighbours (Å) after each atom.
Space group Immm (No. 71)
Inequivalent atoms, fractional coordinates:
Cr 0.0000 0.0000 0.0000 x2  4 N 1.85-2.00
W 0.0000 0.0000 0.3549 x4  3 N 2.05-2.17
N 0.0000 0.0000 0.1753 x4  1 Cr 2.00, 1 W 2.05
N 0.0000 0.5000 0.0000 x2  2 Cr 1.85